Entry from the Materials Project: a geometry-optimized La4MgCoO8 structure (GGA+U).

Lattice parameters (Å, degrees): 9.085 9.085 4.677 101.44 101.44 34.48
Sites, in units of the cell vectors:
La 0.000 0.000 0.000
La 0.248 0.248 0.813
La 0.587 0.587 0.622
La 0.834 0.834 0.435
Mg 0.417 0.417 0.219
Co 0.417 0.417 0.719
O 0.107 0.631 0.926
O 0.115 0.115 0.791
O 0.203 0.727 0.511
O 0.302 0.302 0.363
O 0.532 0.532 0.073
O 0.631 0.107 0.926
O 0.719 0.719 0.642
O 0.727 0.203 0.511

Computed properties:
The crystal system is monoclinic. For the polymorph energy (0 for the lowest one), the calculation gives 177.0 meV/atom. Its MP2020-corrected energy is -7.98 eV per atom. The total magnetization comes out at 3.0 μB per formula unit. For the calculated formation energy, the calculation gives -301.0 kJ/mol of atoms. The density comes out at 5.958 g/cm³. The volume comes out at 15.27 Å³ per atom. The space group is Cm (8).


Entry from the Materials Project: a geometry-optimized LaMgCoO3 structure (GGA+U).

Lattice parameters (Å, degrees): 4.521 4.521 4.521 81.16 81.16 81.16
Sites, in units of the cell vectors:
La 0.000 0.000 0.000
Mg 0.599 0.599 0.599
Co 0.320 0.320 0.320
O 0.334 0.334 0.835
O 0.334 0.835 0.334
O 0.835 0.334 0.334

Computed properties:
The crystal system is trigonal. For the polymorph energy (0 for the lowest one), the calculation gives 0.0 meV/atom. Its MP2020-corrected energy is -6.80 eV per atom. The total magnetization comes out at 2.0 μB per formula unit. For the calculated formation energy, the calculation gives -198.4 kJ/mol of atoms. The density comes out at 5.015 g/cm³. The volume comes out at 14.91 Å³ per atom. The space group is R3m (160).


Entry from the Materials Project: a geometry-optimized La4Mn5CoPb2O18 structure (GGA+U).

Lattice parameters (Å, degrees): 5.525 7.914 9.610 114.08 106.34 90.64
Sites, in units of the cell vectors:
La 0.000 0.000 0.000
La 0.002 0.508 0.001
La 0.335 0.341 0.668
La 0.668 0.675 0.335
Mn 0.167 0.422 0.335
Mn 0.169 0.922 0.335
Mn 0.501 0.255 0.001
Mn 0.834 0.589 0.668
Mn 0.835 0.089 0.668
Co 0.501 0.755 0.001
Pb 0.334 0.838 0.669
Pb 0.667 0.170 0.333
O 0.037 0.487 0.519
O 0.142 0.697 0.854
O 0.149 0.152 0.296
O 0.178 0.153 0.823
O 0.181 0.684 0.358
O 0.300 0.360 0.152
O 0.358 0.812 0.183
O 0.483 0.042 0.520
O 0.485 0.481 0.967
O 0.511 0.025 0.024
O 0.515 0.479 0.487
O 0.651 0.677 0.823
O 0.716 0.166 0.858
O 0.818 0.822 0.636
O 0.822 0.383 0.183
O 0.851 0.355 0.701
O 0.856 0.805 0.155
O 0.974 0.017 0.487

Computed properties:
The crystal system is triclinic. Its MP2020-corrected energy is -8.14 eV per atom. The total magnetization comes out at 20.0 μB per formula unit. For the calculated formation energy, the calculation gives -241.3 kJ/mol of atoms. The density comes out at 7.254 g/cm³. The volume comes out at 12.14 Å³ per atom. The space group is P1 (1).


Entry from the Materials Project: a geometry-optimized La2CoNiO6 structure (GGA+U).

Lattice parameters (Å, degrees): 5.427 5.427 5.427 61.60 61.60 61.60
Sites, in units of the cell vectors:
La 0.249 0.249 0.249
La 0.751 0.751 0.751
Co 0.000 0.000 0.000
Ni 0.500 0.500 0.500
O 0.174 0.306 0.766
O 0.234 0.826 0.694
O 0.306 0.766 0.174
O 0.694 0.234 0.826
O 0.766 0.174 0.306
O 0.826 0.694 0.234

Computed properties:
The crystal system is trigonal. Its MP2020-corrected energy is -7.82 eV per atom. The total magnetization comes out at 3.0 μB per formula unit. For the calculated formation energy, the calculation gives -248.5 kJ/mol of atoms. The density comes out at 6.968 g/cm³. The volume comes out at 11.71 Å³ per atom. The space group is R-3 (148).


Entry from the Materials Project: a geometry-optimized La2CoNiO6 structure (GGA+U).

Lattice parameters (Å, degrees): 5.492 5.625 7.738 90.64 91.55 90.80
Sites, in units of the cell vectors:
La 0.001 0.498 0.250
La 0.498 0.001 0.251
La 0.502 0.999 0.749
La 0.999 0.502 0.750
Co 0.000 0.000 0.000
Co 0.500 0.500 0.500
Ni 0.000 0.000 0.500
Ni 0.500 0.500 0.000
O 0.005 0.062 0.238
O 0.215 0.301 0.526
O 0.215 0.710 0.032
O 0.285 0.210 0.969
O 0.292 0.789 0.468
O 0.500 0.434 0.254
O 0.500 0.566 0.746
O 0.708 0.211 0.532
O 0.715 0.790 0.031
O 0.785 0.290 0.968
O 0.785 0.699 0.474
O 0.995 0.938 0.762

Computed properties:
The crystal system is triclinic. Its MP2020-corrected energy is -7.78 eV per atom. The total magnetization comes out at 3.0 μB per formula unit. For the calculated formation energy, the calculation gives -244.6 kJ/mol of atoms. The density comes out at 6.830 g/cm³. The volume comes out at 11.95 Å³ per atom. The space group is P-1 (2).


Entry from the Materials Project: a geometry-optimized LaCoO3 structure (GGA+U).

Lattice parameters (Å, degrees): 5.486 5.591 7.776 89.99 88.28 89.06
Sites, in units of the cell vectors:
La 0.001 0.497 0.249
La 0.497 0.002 0.752
La 0.503 0.998 0.248
La 0.999 0.503 0.751
Co 0.000 0.000 0.000
Co 0.000 0.000 0.500
Co 0.500 0.500 0.000
Co 0.500 0.500 0.500
O 0.010 0.073 0.758
O 0.214 0.730 0.964
O 0.218 0.283 0.464
O 0.273 0.210 0.035
O 0.276 0.791 0.530
O 0.498 0.436 0.746
O 0.502 0.564 0.254
O 0.724 0.209 0.470
O 0.727 0.790 0.965
O 0.782 0.717 0.536
O 0.786 0.270 0.036
O 0.990 0.927 0.242

Computed properties:
The crystal system is triclinic. Its MP2020-corrected energy is -7.97 eV per atom. The total magnetization comes out at 2.0 μB per formula unit. For the calculated formation energy, the calculation gives -250.2 kJ/mol of atoms. The density comes out at 6.851 g/cm³. The volume comes out at 11.92 Å³ per atom. The space group is P-1 (2).